DFT (PBE+U) results for a relaxed Li3Fe2P3O12 crystal.

a b c (Å): 9.164 9.164 16.303
angles (deg): 114.74 114.74 57.80
Sites, in units of the cell vectors:
Li 0.000 0.000 0.000
Li 0.085 0.495 0.903
Li 0.204 0.056 0.805
Li 0.299 0.279 0.402
Li 0.400 0.593 0.745
Li 0.407 0.600 0.255
Li 0.505 0.915 0.097
Li 0.601 0.143 0.695
Li 0.721 0.701 0.598
Li 0.809 0.191 0.500
Li 0.857 0.399 0.305
Li 0.944 0.796 0.195
Fe 0.049 0.758 0.583
Fe 0.160 0.355 0.221
Fe 0.161 0.356 0.722
Fe 0.242 0.951 0.417
Fe 0.562 0.246 0.082
Fe 0.644 0.839 0.278
Fe 0.645 0.840 0.779
Fe 0.754 0.438 0.918
P 0.029 0.786 0.779
P 0.065 0.704 0.377
P 0.143 0.379 0.058
P 0.187 0.340 0.560
P 0.214 0.971 0.221
P 0.296 0.935 0.623
P 0.509 0.261 0.877
P 0.592 0.223 0.278
P 0.621 0.857 0.942
P 0.660 0.813 0.440
P 0.739 0.491 0.123
P 0.777 0.408 0.722
O 0.003 0.805 0.467
O 0.012 0.396 0.960
O 0.020 0.389 0.588
O 0.040 0.874 0.717
O 0.050 0.891 0.880
O 0.071 0.539 0.140
O 0.109 0.950 0.120
O 0.126 0.960 0.283
O 0.131 0.500 0.355
O 0.180 0.504 0.552
O 0.180 0.593 0.765
O 0.192 0.212 0.087
O 0.195 0.997 0.533
O 0.204 0.208 0.462
O 0.217 0.731 0.376
O 0.218 0.099 0.701
O 0.231 0.153 0.267
O 0.269 0.783 0.624
O 0.305 0.326 0.856
O 0.308 0.377 0.052
O 0.346 0.269 0.642
O 0.397 0.375 0.266
O 0.407 0.820 0.235
O 0.461 0.929 0.860
O 0.496 0.820 0.448
O 0.500 0.869 0.645
O 0.534 0.414 0.876
O 0.576 0.041 0.232
O 0.586 0.466 0.124
O 0.588 0.097 0.799
O 0.604 0.988 0.040
O 0.609 0.200 0.967
O 0.611 0.980 0.412
O 0.623 0.692 0.948
O 0.625 0.603 0.734
O 0.674 0.695 0.144
O 0.678 0.236 0.217
O 0.702 0.241 0.378
O 0.731 0.654 0.358
O 0.759 0.298 0.622
O 0.764 0.322 0.783
O 0.788 0.808 0.913
O 0.792 0.796 0.538
O 0.800 0.391 0.033
O 0.847 0.769 0.733
O 0.901 0.782 0.299
O 0.903 0.412 0.201
O 0.959 0.424 0.768

total DFT energy (no corrections): -0.24624 Ha/atom
volume: 1018 Å³ per cell
total magnetization: 0.50 μB per atom
polymorph energy (0 for the lowest one): 0.083 eV/atom
density: 2.7 g/cm3
space group: C2 (5)
energy of formation: -2424 meV/atom